Entry 1:
{
  "formula": "HoMnSn2",
  "functional": "PBE",
  "state": "relaxed",
  "lattice_angstrom": [[10.415, 0.000, 0.000], [0.000, 11.403, 0.000], [0.000, 0.000, 9.002]],
  "species": ["Ho", "Ho", "Ho", "Ho", "Ho", "Ho", "Ho", "Ho", "Ho", "Ho", "Ho", "Ho", "Mn", "Mn", "Mn", "Mn", "Mn", "Mn", "Mn", "Mn", "Mn", "Mn", "Mn", "Mn", "Sn", "Sn", "Sn", "Sn", "Sn", "Sn", "Sn", "Sn", "Sn", "Sn", "Sn", "Sn", "Sn", "Sn", "Sn", "Sn", "Sn", "Sn", "Sn", "Sn", "Sn", "Sn", "Sn", "Sn"],
  "frac_coords": [[0.164, 0.179, 0.000], [0.171, 0.452, 0.242], [0.171, 0.452, 0.758], [0.329, 0.952, 0.242], [0.329, 0.952, 0.758], [0.336, 0.679, 0.000], [0.664, 0.321, 0.000], [0.671, 0.048, 0.242], [0.671, 0.048, 0.758], [0.829, 0.548, 0.242], [0.829, 0.548, 0.758], [0.836, 0.821, 0.000], [0.000, 0.000, 0.243], [0.000, 0.000, 0.757], [0.089, 0.752, 0.248], [0.089, 0.752, 0.752], [0.411, 0.252, 0.248], [0.411, 0.252, 0.752], [0.500, 0.500, 0.243], [0.500, 0.500, 0.757], [0.589, 0.748, 0.248], [0.589, 0.748, 0.752], [0.911, 0.248, 0.248], [0.911, 0.248, 0.752], [0.042, 0.622, 0.000], [0.043, 0.624, 0.500], [0.126, 0.905, 0.500], [0.129, 0.898, 0.000], [0.162, 0.181, 0.338], [0.162, 0.181, 0.662], [0.338, 0.681, 0.338], [0.338, 0.681, 0.662], [0.371, 0.398, 0.000], [0.374, 0.405, 0.500], [0.457, 0.124, 0.500], [0.458, 0.122, 0.000], [0.542, 0.878, 0.000], [0.543, 0.876, 0.500], [0.626, 0.595, 0.500], [0.629, 0.602, 0.000], [0.662, 0.319, 0.338], [0.662, 0.319, 0.662], [0.838, 0.819, 0.338], [0.838, 0.819, 0.662], [0.871, 0.102, 0.000], [0.874, 0.095, 0.500], [0.957, 0.376, 0.500], [0.958, 0.378, 0.000]],
  "total_magnetization_mub_per_fu": 2.96,
  "e_form_mev_per_atom": -367,
  "e_tot_ev_per_atom": -5.808,
  "sg": "Pbam"
}

Entry 2:
{
  "formula": "Ho3TmMn8",
  "functional": "PBE",
  "state": "relaxed",
  "lattice_angstrom": [[4.385, -2.673, 0.000], [4.385, 2.673, 0.000], [-0.573, 0.000, 8.370]],
  "species": ["Ho", "Ho", "Ho", "Tm", "Mn", "Mn", "Mn", "Mn", "Mn", "Mn", "Mn", "Mn"],
  "frac_coords": [[0.000, 0.000, 0.000], [0.003, 0.003, 0.624], [0.336, 0.336, 0.498], [0.338, 0.338, 0.122], [0.341, 0.828, 0.316], [0.501, 0.501, 0.817], [0.511, 0.998, 0.806], [0.669, 0.669, 0.061], [0.669, 0.669, 0.561], [0.828, 0.341, 0.316], [0.837, 0.837, 0.305], [0.998, 0.511, 0.806]],
  "total_magnetization_mub_per_fu": 4.00,
  "e_form_mev_per_atom": 24,
  "e_tot_ev_per_atom": -7.602,
  "sg": "Cm"
}

Entry 3:
{
  "formula": "Ho5Mo36S48",
  "functional": "PBE",
  "state": "relaxed",
  "lattice_angstrom": [[11.224, 0.000, 0.000], [3.820, 10.672, 0.000], [3.767, 2.666, 13.729]],
  "species": ["Ho", "Ho", "Ho", "Ho", "Ho", "Mo", "Mo", "Mo", "Mo", "Mo", "Mo", "Mo", "Mo", "Mo", "Mo", "Mo", "Mo", "Mo", "Mo", "Mo", "Mo", "Mo", "Mo", "Mo", "Mo", "Mo", "Mo", "Mo", "Mo", "Mo", "Mo", "Mo", "Mo", "Mo", "Mo", "Mo", "Mo", "Mo", "Mo", "Mo", "Mo", "S", "S", "S", "S", "S", "S", "S", "S", "S", "S", "S", "S", "S", "S", "S", "S", "S", "S", "S", "S", "S", "S", "S", "S", "S", "S", "S", "S", "S", "S", "S", "S", "S", "S", "S", "S", "S", "S", "S", "S", "S", "S", "S", "S", "S", "S", "S", "S"],
  "frac_coords": [[0.000, 0.000, 0.000], [0.167, 0.167, 0.332], [0.334, 0.333, 0.667], [0.666, 0.667, 0.333], [0.833, 0.833, 0.668], [0.021, 0.799, 0.380], [0.042, 0.625, 0.886], [0.061, 0.624, 0.268], [0.103, 0.545, 0.066], [0.123, 0.545, 0.445], [0.145, 0.369, 0.953], [0.188, 0.965, 0.713], [0.208, 0.789, 0.221], [0.231, 0.790, 0.600], [0.270, 0.710, 0.399], [0.291, 0.709, 0.779], [0.312, 0.533, 0.287], [0.356, 0.133, 0.045], [0.376, 0.956, 0.555], [0.399, 0.955, 0.934], [0.437, 0.875, 0.732], [0.457, 0.876, 0.111], [0.480, 0.700, 0.618], [0.520, 0.300, 0.382], [0.543, 0.124, 0.889], [0.563, 0.125, 0.268], [0.601, 0.045, 0.066], [0.624, 0.044, 0.445], [0.644, 0.867, 0.955], [0.688, 0.467, 0.713], [0.709, 0.291, 0.221], [0.730, 0.290, 0.601], [0.769, 0.210, 0.400], [0.792, 0.211, 0.779], [0.812, 0.035, 0.287], [0.855, 0.631, 0.047], [0.877, 0.455, 0.555], [0.897, 0.455, 0.934], [0.939, 0.376, 0.732], [0.958, 0.375, 0.114], [0.979, 0.201, 0.620], [0.001, 0.236, 0.002], [0.018, 0.145, 0.795], [0.061, 0.814, 0.745], [0.079, 0.711, 0.541], [0.089, 0.457, 0.792], [0.107, 0.352, 0.585], [0.150, 0.021, 0.539], [0.165, 0.405, 0.333], [0.167, 0.929, 0.333], [0.187, 0.314, 0.127], [0.228, 0.980, 0.080], [0.246, 0.876, 0.874], [0.247, 0.622, 0.130], [0.263, 0.526, 0.917], [0.316, 0.187, 0.872], [0.332, 0.096, 0.667], [0.335, 0.570, 0.665], [0.350, 0.480, 0.462], [0.394, 0.147, 0.414], [0.412, 0.044, 0.208], [0.421, 0.791, 0.457], [0.438, 0.685, 0.253], [0.483, 0.354, 0.212], [0.500, 0.265, 0.000], [0.500, 0.735, 0.000], [0.517, 0.646, 0.788], [0.562, 0.315, 0.747], [0.579, 0.209, 0.543], [0.588, 0.956, 0.792], [0.606, 0.853, 0.586], [0.650, 0.520, 0.538], [0.665, 0.430, 0.335], [0.668, 0.904, 0.333], [0.684, 0.813, 0.128], [0.737, 0.474, 0.083], [0.753, 0.378, 0.870], [0.754, 0.124, 0.126], [0.772, 0.020, 0.920], [0.813, 0.686, 0.873], [0.833, 0.071, 0.667], [0.835, 0.595, 0.667], [0.850, 0.979, 0.461], [0.893, 0.648, 0.415], [0.911, 0.543, 0.208], [0.921, 0.289, 0.459], [0.939, 0.186, 0.255], [0.982, 0.855, 0.205], [0.999, 0.764, 0.998]],
  "total_magnetization_mub_per_fu": 0.32,
  "corrected_energy_ev_per_atom": -7.999,
  "e_form_mev_per_atom": -1124,
  "e_tot_ev_per_atom": -7.728,
  "sg": "P-1"
}

Entry 4:
{
  "formula": "HoMo6S8",
  "functional": "PBE",
  "state": "relaxed",
  "lattice_angstrom": [[4.564, 2.635, 3.788], [-4.564, 2.635, 3.788], [0.000, -5.270, 3.788]],
  "species": ["Ho", "Mo", "Mo", "Mo", "Mo", "Mo", "Mo", "S", "S", "S", "S", "S", "S", "S", "S"],
  "frac_coords": [[0.000, 0.000, 0.000], [0.223, 0.560, 0.420], [0.420, 0.223, 0.560], [0.440, 0.580, 0.777], [0.560, 0.420, 0.223], [0.580, 0.777, 0.440], [0.777, 0.440, 0.580], [0.128, 0.368, 0.753], [0.238, 0.238, 0.238], [0.247, 0.872, 0.632], [0.368, 0.753, 0.128], [0.632, 0.247, 0.872], [0.753, 0.128, 0.368], [0.762, 0.762, 0.762], [0.872, 0.632, 0.247]],
  "corrected_energy_ev_per_atom": -8.010,
  "e_form_mev_per_atom": -1160,
  "e_tot_ev_per_atom": -7.742,
  "sg": "R-3"
}

Entry 5:
{
  "formula": "Ho2Si4Mo3",
  "functional": "PBE",
  "state": "relaxed",
  "lattice_angstrom": [[6.871, 0.000, 0.000], [0.000, 6.932, 0.000], [-2.194, 0.000, 6.383]],
  "species": ["Ho", "Ho", "Ho", "Ho", "Si", "Si", "Si", "Si", "Si", "Si", "Si", "Si", "Mo", "Mo", "Mo", "Mo", "Mo", "Mo"],
  "frac_coords": [[0.191, 0.169, 0.061], [0.191, 0.331, 0.561], [0.809, 0.669, 0.439], [0.809, 0.831, 0.939], [0.090, 0.544, 0.868], [0.090, 0.956, 0.368], [0.496, 0.632, 0.629], [0.496, 0.868, 0.129], [0.504, 0.132, 0.871], [0.504, 0.368, 0.371], [0.910, 0.044, 0.632], [0.910, 0.456, 0.132], [0.249, 0.663, 0.249], [0.249, 0.837, 0.749], [0.500, 0.000, 0.500], [0.500, 0.500, 0.000], [0.751, 0.163, 0.251], [0.751, 0.337, 0.751]],
  "e_form_mev_per_atom": -681,
  "e_tot_ev_per_atom": -7.726,
  "sg": "P2_1/c"
}

Entry 6:
{
  "formula": "HoN",
  "functional": "PBE",
  "state": "relaxed",
  "lattice_angstrom": [[2.980, 0.000, 0.000], [0.000, 2.980, 0.000], [0.000, 0.000, 2.980]],
  "species": ["Ho", "N"],
  "frac_coords": [[0.000, 0.000, 0.000], [0.500, 0.500, 0.500]],
  "total_magnetization_mub_per_fu": 0.00,
  "corrected_energy_ev_per_atom": -7.440,
  "e_form_mev_per_atom": -980,
  "e_tot_ev_per_atom": -7.259,
  "sg": "Pm-3m"
}